Density functional theory data (PBE) for crystalline KCuPdSe5 at its relaxed geometry.

Computed properties:
E_tot ... -31.25 eV/f.u.
Total magnetic moment ... 0.001 μB/cell
Energy of formation ... -0.7181 eV per atom

abc: 6.2791 7.4072 9.1041
angles: 90.00 103.33 90.00
Atoms (fractional coordinates):
K  0.2421  0.2500  0.4537
K  0.7579  0.7500  0.5463
Cu  0.3817  0.2500  0.8917
Cu  0.6183  0.7500  0.1083
Pd  0.0000  0.0000  0.0000
Pd  0.0000  0.5000  0.0000
Se  0.1819  0.5105  0.7836
Se  0.1819  0.9895  0.7836
Se  0.2123  0.7500  0.3941
Se  0.2313  0.7500  0.1352
Se  0.4591  0.7500  0.8419
Se  0.5409  0.2500  0.1581
Se  0.7687  0.2500  0.8648
Se  0.7877  0.2500  0.6059
Se  0.8181  0.0105  0.2164
Se  0.8181  0.4895  0.2164